[1]
SrSb2Ru2 | the Materials Project database | PBE | relaxed; V = 23.10 A^3/atom; spin magnetization = 0.000 μB per atom; calculated formation energy = -2.17 eV/f.u.
1.0
-2.2469 2.2469 5.7205
2.2469 -2.2469 5.7205
2.2469 2.2469 -5.7205
Sr Sb Ru
1 2 2
Cartesian
0.0000 0.0000 0.0000
0.0000 0.0000 4.1595
0.0000 0.0000 7.2815
2.2469 0.0000 2.8603
0.0000 2.2469 2.8603

[2]
CuPO4 | the Materials Project database | PBE | relaxed; V = 13.51 A^3/atom; calculated formation energy = -11.28 eV/f.u.
1.0
9.9762 0.0000 0.0000
0.0000 6.0292 0.0000
0.0000 0.0000 5.3904
Cu P O
4 4 16
Cartesian
1.8310 1.5073 0.7612
3.1572 4.5219 3.4564
6.8191 1.5073 1.9340
8.1453 4.5219 4.6292
1.1033 4.5219 0.3294
3.8848 1.5073 3.0246
6.0915 4.5219 2.3658
8.8729 1.5073 5.0610
0.4477 1.5073 4.9323
1.4436 4.5219 4.2153
1.6985 3.3346 1.1435
1.6985 5.7092 1.1435
3.2896 0.3200 3.8387
3.2896 2.6946 3.8387
3.5446 1.5073 1.5202
4.5404 4.5219 2.2372
5.4358 1.5073 3.1532
6.4317 4.5219 3.8702
6.6866 3.3346 1.5517
6.6866 5.7092 1.5517
8.2777 0.3200 4.2468
8.2777 2.6946 4.2468
8.5327 1.5073 1.1750
9.5286 4.5219 0.4580

[3]
BaLa2Cl8 | the Materials Project database | PBE | relaxed; V = 39.07 A^3/atom; spin magnetization = 0.000 μB per atom; energy above the lowest structure with this stoichiometry = 0.022 eV/atom; calculated formation energy = -31.21 eV/f.u.
1.0
9.0568 -5.0971 0.0000
9.0568 5.0971 0.0000
-5.3174 0.0000 9.3097
Ba La Cl
2 4 16
Cartesian
5.0688 4.8967 6.9823
7.7275 -4.8967 2.3274
0.2276 2.4113 7.1812
2.8863 -2.4113 2.5264
9.9099 2.4113 6.7833
12.5686 -2.4113 2.1285
5.2746 3.9033 3.9008
5.9960 3.1811 0.5736
2.7222 3.0152 6.3226
10.1804 3.9033 0.7540
4.1745 0.0957 2.9476
1.5158 -0.0957 7.6025
9.4589 3.1811 4.0813
7.4153 3.0152 7.6419
5.3809 -3.0152 1.6678
3.3373 -3.1811 5.2284
11.2804 0.0957 1.7072
8.6217 -0.0957 6.3620
2.6159 -3.9033 8.5556
10.0740 -3.0152 2.9871
6.8002 -3.1811 8.7361
7.5216 -3.9033 5.4089

[4]
MgCu2I4O12 | the Materials Project database | PBE | relaxed; V = 14.89 A^3/atom; spin magnetization = 0.000 μB per atom; energy above the lowest structure with this stoichiometry = 0.000 eV/atom; calculated formation energy = -18.35 eV/f.u.
1.0
5.3903 0.0000 0.0000
0.0000 6.0889 0.0000
-0.3867 0.0000 8.6187
Mg Cu I O
1 2 4 12
Cartesian
0.0000 0.0000 0.0000
2.4021 1.5446 7.7024
2.4021 4.5443 7.7024
-0.0082 3.0445 1.4517
0.1707 0.0000 5.3594
2.5407 0.0000 2.2373
2.8362 3.0445 4.7849
1.3125 3.0445 0.1942
1.3914 1.3551 2.7105
1.3914 4.7338 2.7105
1.2653 1.3639 6.0092
1.2653 4.7251 6.0092
2.0204 0.0000 0.3093
3.3288 3.0445 6.5994
3.9100 1.6539 4.1760
3.9100 4.4350 4.1760
4.3406 1.6047 0.7112
4.3406 4.4842 0.7112
4.3720 0.0000 6.7769

[5]
CaSiPt | the Materials Project database | PBE | relaxed; V = 21.69 A^3/atom; calculated formation energy = -2.93 eV/f.u.
1.0
6.3848 0.0000 0.0000
0.0000 6.3848 0.0000
0.0000 0.0000 6.3848
Ca Si Pt
4 4 4
Cartesian
0.7967 0.7967 0.7967
2.3957 5.5881 3.9891
3.9891 2.3957 5.5881
5.5881 3.9891 2.3957
1.0807 2.1117 4.2731
2.1117 4.2731 1.0807
4.2731 1.0807 2.1117
5.3041 5.3041 5.3041
0.5075 3.6999 5.8774
2.6850 2.6850 2.6850
3.6999 5.8774 0.5075
5.8774 0.5075 3.6999

[6]
K2SO3 | the Materials Project database | PBE | relaxed; V = 24.99 A^3/atom; spin magnetization = 0.011 μB per atom; calculated formation energy = -8.25 eV/f.u.
1.0
3.9752 -5.9955 0.0000
3.9752 5.9955 0.0000
-0.0129 0.0000 6.2917
K S O
4 2 6
Cartesian
3.9688 5.0722 3.1458
4.2037 1.1768 6.2498
4.2102 -1.1768 3.1040
3.9752 -5.0722 0.0000
2.2303 1.9095 3.1373
2.2238 -1.9095 6.2832
2.2336 0.8473 2.0547
4.8661 3.9780 0.6695
2.2271 -0.8473 5.2005
6.0014 0.3221 1.7600
5.9949 -0.3221 4.9058
4.8596 -3.9780 3.8154

[7]
SmC2 | the Materials Project database | PBE | relaxed; V = 15.18 A^3/atom; calculated formation energy = -0.45 eV/f.u.
1.0
-1.8893 1.8893 3.1886
1.8893 -1.8893 3.1886
1.8893 1.8893 -3.1886
Sm C
1 2
Cartesian
0.0000 0.0000 0.0000
0.0000 0.0000 2.5388
0.0000 0.0000 3.8383

[8]
IrO3 | the Materials Project database | PBE | relaxed; V = 13.62 A^3/atom; spin magnetization = 0.000 μB per atom; calculated formation energy = -3.47 eV/f.u.
1.0
3.7909 0.0000 0.0000
0.0000 3.7909 0.0000
0.0000 0.0000 3.7909
Ir O
1 3
Cartesian
0.0000 0.0000 0.0000
0.0000 0.0000 1.8955
0.0000 1.8955 0.0000
1.8955 0.0000 0.0000

[9]
Rb2HgIrF6 | the Materials Project database | PBE | relaxed; V = 22.91 A^3/atom; spin magnetization = 0.100 μB per atom; calculated formation energy = -21.36 eV/f.u.
1.0
0.0000 4.8568 4.8568
4.8568 0.0000 4.8568
4.8568 4.8568 0.0000
Rb Hg Ir F
2 1 1 6
Cartesian
2.4284 2.4284 2.4284
7.2853 7.2853 7.2853
0.0000 0.0000 0.0000
4.8568 4.8568 4.8568
4.8568 4.8568 2.8818
4.8568 2.8818 4.8568
6.8318 4.8568 4.8568
2.8818 4.8568 4.8568
4.8568 6.8318 4.8568
4.8568 4.8568 6.8318

[10]
Rb3Pd | the Materials Project database | PBE | relaxed; V = 51.86 A^3/atom; spin magnetization = 0.134 μB per atom; energy above the lowest structure with this stoichiometry = 0.003 eV/atom; calculated formation energy = 0.78 eV/f.u.
1.0
-5.8340 5.8340 6.0942
5.8340 -5.8340 6.0942
5.8340 5.8340 -6.0942
Rb Pd
12 4
Cartesian
5.8340 -2.8168 3.9225
3.0172 0.0000 2.1717
8.6509 0.0000 2.1717
3.6006 3.6006 0.0000
2.2334 -2.2334 6.0942
0.0000 3.0172 2.1717
5.8340 2.8168 3.9225
-2.2334 2.2334 6.0942
2.2334 2.2334 6.0942
-2.8168 5.8340 3.9225
2.8168 5.8340 3.9225
0.0000 8.6509 2.1717
0.0000 0.0000 0.0000
5.8340 0.0000 0.0000
0.0000 5.8340 0.0000
0.0000 0.0000 6.0942

[11]
K2LiSbI6 | the Materials Project database | PBE | relaxed; V = 42.88 A^3/atom; spin magnetization = 0.000 μB per atom; calculated formation energy = -11.40 eV/f.u.
1.0
0.0000 5.9850 5.9850
5.9850 0.0000 5.9850
5.9850 5.9850 0.0000
K Li Sb I
2 1 1 6
Cartesian
2.9925 2.9925 2.9925
8.9776 8.9776 8.9776
0.0000 0.0000 0.0000
5.9850 5.9850 5.9850
5.9850 5.9850 2.9668
5.9850 2.9668 5.9850
9.0033 5.9850 5.9850
2.9668 5.9850 5.9850
5.9850 9.0033 5.9850
5.9850 5.9850 9.0033

[12]
LaAl3Pd2 | the Materials Project database | PBE | relaxed; V = 18.87 A^3/atom; calculated formation energy = -5.10 eV/f.u.
1.0
5.5427 0.0000 0.0000
-2.7714 4.8001 0.0000
0.0000 0.0000 4.2556
La Al Pd
1 3 2
Cartesian
0.0000 0.0000 0.0000
-1.3857 2.4001 2.1278
2.7714 0.0000 2.1278
1.3857 2.4001 2.1278
0.0000 3.2001 0.0000
2.7714 1.6000 0.0000